A relaxed structure of MgFeCo3O8, computed with GGA+U.

Volume, A^3/atom: 11.13
Offset from the most stable computed form, meV per atom: 52
Final energy, eV per atom: -5.926

Cell: 10.1517 5.7409 6.0805 Å, 90.00 125.27 90.00°
Space group C2/m (No. 12)
Asymmetric unit:
1 Mg 0.0000 0.0000 0.0000 [2 per cell]
2 Fe 0.0000 0.0000 0.5000 [2 per cell]
3 Co 0.0000 0.5000 0.5000 [2 per cell]
4 Co 0.2500 0.2500 0.5000 [4 per cell]
5 O 0.0224 0.2485 0.2897 [8 per cell]
6 O 0.2439 0.0000 0.6931 [4 per cell]
7 O 0.2479 0.5000 0.7088 [4 per cell]

***

A relaxed structure of Li9Mn2Co5O16, computed with GGA+U.

Volume, A^3/atom: 9.01
Offset from the most stable computed form, meV per atom: 43
Final energy, eV per atom: -5.812

Cell: 5.1646 7.7251 7.7480 Å, 97.70 102.80 102.82°
Space group P1 (No. 1)
Asymmetric unit:
1 Li 0.0000 0.0000 0.0000 [1 per cell]
2 Li 0.9996 0.3634 0.1177 [1 per cell]
3 Li 0.0032 0.2464 0.7594 [1 per cell]
4 Li 0.0038 0.6188 0.8763 [1 per cell]
5 Li 0.0048 0.4929 0.5051 [1 per cell]
6 Li 0.0063 0.7444 0.2448 [1 per cell]
7 Li 0.0103 0.1206 0.3751 [1 per cell]
8 Li 0.0119 0.8762 0.6373 [1 per cell]
9 Li 0.5064 0.1211 0.8759 [1 per cell]
10 Mn 0.5023 0.9951 0.5015 [1 per cell]
11 Mn 0.5060 0.6202 0.3778 [1 per cell]
12 Co 0.4951 0.8746 0.1120 [1 per cell]
13 Co 0.5015 0.4916 0.0006 [1 per cell]
14 Co 0.5105 0.7480 0.7569 [1 per cell]
15 Co 0.5109 0.3648 0.6356 [1 per cell]
16 Co 0.5117 0.2431 0.2421 [1 per cell]
17 O 0.2658 0.8625 0.8862 [1 per cell]
18 O 0.2733 0.2594 0.0123 [1 per cell]
19 O 0.2764 0.5032 0.7508 [1 per cell]
20 O 0.2766 0.1115 0.6120 [1 per cell]
21 O 0.2788 0.6196 0.1415 [1 per cell]
22 O 0.2799 0.9989 0.2616 [1 per cell]
23 O 0.2837 0.7509 0.4961 [1 per cell]
24 O 0.2889 0.3851 0.3871 [1 per cell]
25 O 0.7177 0.8622 0.3733 [1 per cell]
26 O 0.7270 0.9806 0.7344 [1 per cell]
27 O 0.7318 0.2288 0.4986 [1 per cell]
28 O 0.7333 0.5017 0.2588 [1 per cell]
29 O 0.7326 0.6200 0.6128 [1 per cell]
30 O 0.7356 0.7398 0.0021 [1 per cell]
31 O 0.7382 0.3788 0.8666 [1 per cell]
32 O 0.7448 0.1203 0.1368 [1 per cell]

***

A relaxed structure of MoO3, computed with GGA+U.

Volume, A^3/atom: 19.02
Final energy, eV per atom: -6.896

Cell: 11.2271 12.8135 13.2740 Å, 94.92 91.48 90.57°
Space group P1 (No. 1)
Asymmetric unit:
1 Mo 0.0000 0.0000 0.0000 [1 per cell]
2 Mo 0.0023 0.1481 0.4982 [1 per cell]
3 Mo 0.0365 0.9773 0.7127 [1 per cell]
4 Mo 0.0982 0.8224 0.3274 [1 per cell]
5 Mo 0.1007 0.5547 0.1388 [1 per cell]
6 Mo 0.2098 0.1639 0.3010 [1 per cell]
7 Mo 0.2179 0.7951 0.0459 [1 per cell]
8 Mo 0.2685 0.4323 0.6729 [1 per cell]
9 Mo 0.2779 0.7208 0.5400 [1 per cell]
10 Mo 0.3091 0.0437 0.8173 [1 per cell]
11 Mo 0.3729 0.4016 0.4168 [1 per cell]
12 Mo 0.4006 0.4003 0.9255 [1 per cell]
13 Mo 0.4807 0.0147 0.3842 [1 per cell]
14 Mo 0.5060 0.7789 0.2446 [1 per cell]
15 Mo 0.5168 0.1560 0.0168 [1 per cell]
16 Mo 0.5380 0.5766 0.6192 [1 per cell]
17 Mo 0.5410 0.0678 0.6217 [1 per cell]
18 Mo 0.5771 0.2830 0.5139 [1 per cell]
19 Mo 0.6809 0.8961 0.0415 [1 per cell]
20 Mo 0.7019 0.4938 0.8476 [1 per cell]
21 Mo 0.8011 0.4956 0.2325 [1 per cell]
22 Mo 0.8030 0.5928 0.4522 [1 per cell]
23 Mo 0.8598 0.8851 0.5173 [1 per cell]
24 Mo 0.9009 0.2105 0.1816 [1 per cell]
25 Mo 0.9332 0.4579 0.6744 [1 per cell]
26 O 0.0454 0.2117 0.2436 [1 per cell]
27 O 0.0612 0.5094 0.4591 [1 per cell]
28 O 0.0668 0.7335 0.2210 [1 per cell]
29 O 0.0789 0.2155 0.5986 [1 per cell]
30 O 0.0839 0.8869 0.0552 [1 per cell]
31 O 0.0989 0.4596 0.6978 [1 per cell]
32 O 0.1141 0.9915 0.6022 [1 per cell]
33 O 0.1146 0.1027 0.3984 [1 per cell]
34 O 0.1178 0.4386 0.0661 [1 per cell]
35 O 0.1256 0.0711 0.9765 [1 per cell]
36 O 0.1567 0.9323 0.2794 [1 per cell]
37 O 0.1674 0.6640 0.6068 [1 per cell]
38 O 0.1763 0.5369 0.2497 [1 per cell]
39 O 0.1759 0.6543 0.0542 [1 per cell]
40 O 0.1809 0.9495 0.7971 [1 per cell]
41 O 0.2092 0.7645 0.4141 [1 per cell]
42 O 0.2393 0.1218 0.1783 [1 per cell]
43 O 0.2512 0.1642 0.8066 [1 per cell]
44 O 0.2520 0.2975 0.3382 [1 per cell]
45 O 0.2567 0.4307 0.5348 [1 per cell]
46 O 0.2758 0.8019 0.9285 [1 per cell]
47 O 0.2782 0.4351 0.8459 [1 per cell]
48 O 0.3247 0.3097 0.6808 [1 per cell]
49 O 0.3249 0.8292 0.6160 [1 per cell]
50 O 0.3337 0.8346 0.1317 [1 per cell]
51 O 0.3518 0.0984 0.3601 [1 per cell]
52 O 0.3904 0.4693 0.0408 [1 per cell]
53 O 0.3902 0.5300 0.6943 [1 per cell]
54 O 0.3955 0.0480 0.9345 [1 per cell]
55 O 0.3982 0.4944 0.3363 [1 per cell]
56 O 0.4042 0.6290 0.5247 [1 per cell]
57 O 0.4180 0.2583 0.9486 [1 per cell]
58 O 0.4191 0.8825 0.3309 [1 per cell]
59 O 0.4216 0.0306 0.7161 [1 per cell]
60 O 0.4260 0.6656 0.2160 [1 per cell]
61 O 0.4800 0.2850 0.3897 [1 per cell]
62 O 0.4862 0.9612 0.5189 [1 per cell]
63 O 0.4917 0.4220 0.5347 [1 per cell]
64 O 0.4935 0.1931 0.1415 [1 per cell]
65 O 0.5368 0.4432 0.8662 [1 per cell]
66 O 0.5443 0.2132 0.6461 [1 per cell]
67 O 0.5508 0.6975 0.6838 [1 per cell]
68 O 0.5702 0.1221 0.4826 [1 per cell]
69 O 0.5929 0.0189 0.2993 [1 per cell]
70 O 0.5944 0.0149 0.0367 [1 per cell]
71 O 0.6062 0.7469 0.3362 [1 per cell]
72 O 0.6085 0.8137 0.1357 [1 per cell]
73 O 0.6371 0.5016 0.7001 [1 per cell]
74 O 0.6513 0.2098 0.9883 [1 per cell]
75 O 0.6506 0.5879 0.5113 [1 per cell]
76 O 0.6717 0.5055 0.1649 [1 per cell]
77 O 0.6718 0.8322 0.9234 [1 per cell]
78 O 0.6729 0.0291 0.6714 [1 per cell]
79 O 0.7053 0.6016 0.9332 [1 per cell]
80 O 0.7123 0.8912 0.4894 [1 per cell]
81 O 0.7214 0.3190 0.5057 [1 per cell]
82 O 0.7715 0.3934 0.9026 [1 per cell]
83 O 0.7756 0.4520 0.3602 [1 per cell]
84 O 0.8020 0.6320 0.3157 [1 per cell]
85 O 0.8082 0.1405 0.2511 [1 per cell]
86 O 0.8363 0.9285 0.0662 [1 per cell]
87 O 0.8474 0.3465 0.1810 [1 per cell]
88 O 0.8516 0.7188 0.5093 [1 per cell]
89 O 0.8603 0.5310 0.7778 [1 per cell]
90 O 0.8660 0.5082 0.5606 [1 per cell]
91 O 0.8841 0.3327 0.6801 [1 per cell]
92 O 0.8962 0.0385 0.5237 [1 per cell]
93 O 0.9159 0.8818 0.6604 [1 per cell]
94 O 0.9180 0.1272 0.0598 [1 per cell]
95 O 0.9245 0.2425 0.4407 [1 per cell]
96 O 0.9327 0.5464 0.1607 [1 per cell]
97 O 0.9530 0.9529 0.8780 [1 per cell]
98 O 0.9633 0.8595 0.3968 [1 per cell]
99 O 0.9796 0.0986 0.7443 [1 per cell]
100 O 0.9911 0.5668 0.4118 [1 per cell]